Record 1
{
  "formula": "KAlF4",
  "functional": "r2SCAN",
  "state": "relaxed",
  "magmom_total_mub_per_cell": 0.0,
  "formation_energy_kcal_per_mol_atoms": -83.69,
  "cell": [[-2.332, -2.113, -1.763], [2.515, -2.574, -0.242], [-1.911, -2.372, 5.371]],
  "species": ["F", "F", "F", "F", "K", "Al"],
  "fractional_positions": [[0.500, 0.500, 0.787], [0.500, 0.500, 0.213], [0.000, 0.500, 0.500], [0.500, 0.000, 0.500], [0.000, 0.000, 0.000], [0.500, 0.500, 0.500]]
}


Record 2
{
  "formula": "K2AlF5",
  "functional": "r2SCAN",
  "state": "relaxed",
  "magmom_total_mub_per_cell": 0.0,
  "formation_energy_kcal_per_mol_atoms": -80.90,
  "cell": [[-0.633, 3.024, -2.006], [-5.484, 0.268, 2.135], [1.899, 3.353, 4.456]],
  "species": ["F", "F", "F", "F", "F", "K", "K", "Al"],
  "fractional_positions": [[0.000, 0.785, 0.215], [0.500, 0.000, 0.000], [0.000, 0.215, 0.215], [0.000, 0.215, 0.785], [0.000, 0.785, 0.785], [0.500, 0.000, 0.500], [0.500, 0.500, 0.000], [0.000, 0.000, 0.000]]
}


Please write out number 1 again, unchanged.
{
  "formula": "KAlF4",
  "functional": "r2SCAN",
  "state": "relaxed",
  "magmom_total_mub_per_cell": 0.0,
  "formation_energy_kcal_per_mol_atoms": -83.69,
  "cell": [[-2.332, -2.113, -1.763], [2.515, -2.574, -0.242], [-1.911, -2.372, 5.371]],
  "species": ["F", "F", "F", "F", "K", "Al"],
  "fractional_positions": [[0.500, 0.500, 0.787], [0.500, 0.500, 0.213], [0.000, 0.500, 0.500], [0.500, 0.000, 0.500], [0.000, 0.000, 0.000], [0.500, 0.500, 0.500]]
}


- Number 1 is which compound?
  KAlF4


Repeat the second record exactly.
{
  "formula": "K2AlF5",
  "functional": "r2SCAN",
  "state": "relaxed",
  "magmom_total_mub_per_cell": 0.0,
  "formation_energy_kcal_per_mol_atoms": -80.90,
  "cell": [[-0.633, 3.024, -2.006], [-5.484, 0.268, 2.135], [1.899, 3.353, 4.456]],
  "species": ["F", "F", "F", "F", "F", "K", "K", "Al"],
  "fractional_positions": [[0.000, 0.785, 0.215], [0.500, 0.000, 0.000], [0.000, 0.215, 0.215], [0.000, 0.215, 0.785], [0.000, 0.785, 0.785], [0.500, 0.000, 0.500], [0.500, 0.500, 0.000], [0.000, 0.000, 0.000]]
}